Record 1
4
Lattice="-1.617 1.081 4.371 -4.700 -0.062 0.895 -1.861 -3.423 2.776" Properties=species:S:1:pos:R:3 comment="TbSnPd2 (r2SCAN, relaxed)" density_g_cm3=10.52 pbc="T T T"
Sn 0.000 0.000 0.000
Pd -6.134 -1.804 6.032
Pd -2.045 -0.601 2.011
Tb -4.089 -1.203 4.021

---

Record 2
4
Lattice="-3.034 0.330 3.618 -4.651 -0.429 -0.765 -2.303 -3.847 1.516" Properties=species:S:1:pos:R:3 comment="TmSnPd2 (r2SCAN, relaxed)" density_g_cm3=11.09 pbc="T T T"
Pd -2.497 -0.987 1.092
Pd -7.490 -2.960 3.277
Tm -4.994 -1.973 2.184
Sn 0.000 0.000 0.000

---

Record 3
9
Lattice="3.760 -6.512 0.000 3.760 6.512 0.000 0.000 0.000 3.872" Properties=species:S:1:pos:R:3 comment="TmSnPd (r2SCAN, relaxed)" density_g_cm3=10.35 pbc="T T T"
Sn 2.773 4.804 0.000
Sn 2.773 -4.804 0.000
Sn 1.973 0.000 0.000
Pd 0.000 0.000 1.936
Pd 3.760 2.171 0.000
Pd 3.760 -2.171 0.000
Tm 1.518 2.630 1.936
Tm 1.518 -2.630 1.936
Tm 4.483 0.000 1.936

---

Record 4
6
Lattice="0.017 4.481 -2.120 -3.407 -3.352 -1.316 -3.610 2.012 4.222" Properties=species:S:1:pos:R:3 comment="USnPd (r2SCAN, relaxed)" density_g_cm3=12.23 pbc="T T T"
Sn -3.831 3.379 1.314
Sn -3.168 -0.238 -0.528
U -3.610 2.012 4.222
U -5.212 -2.346 0.795
Pd -2.027 2.373 -0.797
Pd -4.973 0.768 1.582

---

Record 5
12
Lattice="-4.457 0.660 1.004 -1.766 -1.524 -6.836 -0.711 -7.690 1.898" Properties=species:S:1:pos:R:3 comment="YSnPd (r2SCAN, relaxed)" density_g_cm3=7.87 pbc="T T T"
Y -2.130 -2.172 -2.720
Y -3.859 -4.950 2.039
Y -3.075 -3.604 -5.973
Y -4.804 -6.382 -1.213
Sn -4.863 -3.734 -3.215
Sn -3.749 -0.478 -0.413
Sn -2.071 -4.820 -0.719
Sn -3.185 -8.077 -3.521
Pd -2.126 -7.193 0.598
Pd -4.162 -3.159 -0.481
Pd -2.772 -5.395 -3.452
Pd -4.808 -1.361 -4.532

---

Record 6
6
Lattice="-3.447 -3.093 -2.830 4.806 -2.000 1.535 -1.788 -1.428 3.739" Properties=species:S:1:pos:R:3 comment="SrPd5 (r2SCAN, relaxed)" density_g_cm3=9.20 pbc="T T T"
Pd 2.055 -2.364 0.080
Pd -2.618 -2.260 0.454
Pd -0.214 -3.260 1.222
Pd -0.696 -2.728 -1.375
Pd 1.509 -1.714 2.637
Sr 0.000 0.000 0.000

---

Record 7
4
Lattice="-4.252 0.000 0.000 0.000 0.000 -4.522 -2.126 -5.670 0.000" Properties=species:S:1:pos:R:3 comment="SrPd (r2SCAN, relaxed)" density_g_cm3=5.91 pbc="T T T"
Pd -2.126 -0.800 -3.391
Pd -4.252 -4.869 -1.130
Sr -2.126 -4.090 -3.391
Sr -4.252 -1.580 -1.130

---

Record 8
4
Lattice="-1.329 -1.327 -3.423 1.368 -3.557 0.848 -3.513 1.508 3.006" Properties=species:S:1:pos:R:3 comment="TaPd3 (r2SCAN, relaxed)" density_g_cm3=13.61 pbc="T T T"
Pd -1.062 -2.246 1.283
Pd -2.411 -1.131 -0.852
Pd 0.020 -2.442 -1.287
Ta 0.000 0.000 0.000

---

Record 9
3
Lattice="-1.304 1.938 -1.682 -0.554 -2.704 -2.683 -2.787 -0.592 3.934" Properties=species:S:1:pos:R:3 comment="TaPd2 (r2SCAN, relaxed)" density_g_cm3=13.98 pbc="T T T"
Pd -2.488 -0.653 1.173
Pd -2.157 -0.705 -1.604
Ta 0.000 0.000 0.000

---

Record 10
40
Lattice="3.790 0.000 0.000 0.000 14.974 0.115 0.000 6.125 20.354" Properties=species:S:1:pos:R:3 comment="Ta3Te14Pd3 (r2SCAN, relaxed)" density_g_cm3=7.63 pbc="T T T"
Te 0.947 6.038 17.478
Te 0.947 11.523 2.339
Te 2.842 15.742 12.059
Te 2.842 10.832 5.513
Te 2.842 15.061 2.991
Te 2.842 7.043 6.459
Te 0.947 5.357 8.410
Te 2.842 6.512 14.712
Te 0.947 1.978 0.969
Te 2.842 9.576 18.130
Te 2.842 13.524 17.287
Te 2.842 13.003 9.144
Te 2.842 5.013 11.176
Te 0.947 11.781 20.199
Te 0.947 10.267 14.956
Te 2.842 2.574 5.946
Te 0.947 14.587 5.757
Te 0.947 14.056 14.010
Te 2.842 11.864 12.044
Te 0.947 16.086 9.293
Te 2.842 9.318 0.270
Te 0.947 7.575 3.182
Te 0.947 17.096 17.289
Te 0.947 8.096 11.325
Te 2.842 19.121 19.500
Te 0.947 9.235 8.425
Te 0.947 18.525 14.524
Te 2.842 4.003 3.180
Pd 2.842 15.284 7.538
Pd 2.842 12.251 14.841
Pd 0.947 8.848 5.628
Pd 0.947 5.815 12.931
Pd 2.842 3.833 0.438
Pd 0.947 17.266 20.031
Ta 0.947 13.797 11.122
Ta 2.842 19.125 16.584
Ta 2.842 9.590 3.172
Ta 0.947 1.974 3.885
Ta 0.947 11.509 17.297
Ta 2.842 7.302 9.347

---

Record 11
14
Lattice="-4.117 -3.258 2.279 -3.936 5.578 -3.926 4.051 -4.965 -4.579" Properties=species:S:1:pos:R:3 comment="Tb3Pd4 (r2SCAN, relaxed)" density_g_cm3=10.37 pbc="T T T"
Pd -2.918 2.207 -2.892
Pd -2.535 -4.571 -0.749
Pd 1.992 -6.594 -3.439
Pd -1.125 -1.970 -4.072
Pd -1.468 1.925 -5.477
Pd -1.085 -4.853 -3.334
Pd -2.878 -0.676 -2.154
Pd -0.066 -8.224 -2.300
Tb 1.400 -3.836 -4.348
Tb 0.479 -0.340 -5.806
Tb -4.481 -2.306 -0.420
Tb -0.637 -2.493 -1.309
Tb -5.403 1.190 -1.878
Tb -3.366 -0.153 -4.917

---

Record 12
4
Lattice="-2.357 -0.158 3.350 -2.151 -3.070 -1.659 2.573 -2.712 1.682" Properties=species:S:1:pos:R:3 comment="TbPd3 (r2SCAN, relaxed)" density_g_cm3=11.52 pbc="T T T"
Pd -2.254 -1.614 0.846
Pd 0.108 -1.435 2.516
Pd 0.211 -2.891 0.012
Tb 0.000 0.000 0.000

---

| no. | volume (Å³/atom) | final energy (Ry per atom) | calculated formation energy (meV/atom) |
| --- | --- | --- | --- |
| 1 | 19.4 | -1.938 | -890.1 |
| 2 | 18.7 | -2.011 | -915.5 |
| 3 | 21.1 | -2.101 | -973.8 |
| 4 | 21.0 | -3.168 | -551.2 |
| 5 | 22.1 | -1.739 | -992.3 |
| 6 | 18.6 | -1.619 | -370.9 |
| 7 | 27.3 | -1.443 | -581.9 |
| 8 | 15.3 | -2.193 | -473.7 |
| 9 | 15.6 | -2.349 | -452.4 |
| 10 | 28.8 | -2.124 | -370.7 |
| 11 | 20.6 | -2.019 | -960.9 |
| 12 | 17.2 | -1.907 | -916.5 |